Entry 1:
GdAl8Cu4 | GGA-PBE | relaxed

Cell: 8.814 8.814 5.147 Å, 90.00 90.00 90.00°
Space group I4/mmm (No. 139)
One atom of each set of equivalent atoms:
1 Gd 0.000 0.000 0.000 [2 per cell]
2 Al 0.000 0.220 0.500 [8 per cell]
3 Al 0.000 0.348 0.000 [8 per cell]
4 Cu 0.250 0.250 0.250 [8 per cell]

Values from the calculation:
ΔH_f (0 K) = -0.31 eV/atom
Raw total energy = -129.02 eV per cell
Volume = 15.38 Å³/atom

=====

Entry 2:
PrCr2B6 | GGA-PBE | relaxed

Cell: 3.112 6.593 8.360 Å, 90.00 90.00 90.00°
Space group Immm (No. 71)
One atom of each set of equivalent atoms:
1 Pr 0.000 0.000 0.000 [2 per cell]
2 Cr 0.000 0.500 0.154 [4 per cell]
3 B 0.000 0.138 0.500 [4 per cell]
4 B 0.000 0.235 0.302 [8 per cell]

Values from the calculation:
ΔH_f (0 K) = -0.52 eV/atom
Spin magnetization = 0.01 μB per formula unit
Raw total energy = -137.63 eV per cell
Volume = 9.53 Å³/atom

=====

Entry 3:
Cs2HgPdF6 | GGA-PBE | relaxed

Cell: 9.128 9.128 9.128 Å, 90.00 90.00 90.00°
Space group Fm-3m (No. 225)
One atom of each set of equivalent atoms:
1 Cs 0.250 0.250 0.250 [8 per cell]
2 Hg 0.000 0.000 0.000 [4 per cell]
3 Pd 0.000 0.000 0.500 [4 per cell]
4 F 0.000 0.000 0.257 [24 per cell]

Values from the calculation:
ΔH_f (0 K) = -2.16 eV/atom
Spin magnetization = 1.74 μB per formula unit
Raw total energy = -150.24 eV per cell
Volume = 19.01 Å³/atom

=====

Entry 4:
MgTi4Pb2O9F2 | GGA-PBE | relaxed

Cell: 15.614 3.888 11.038 Å, 90.00 134.62 90.00°
Space group Cm (No. 8)
One atom of each set of equivalent atoms:
1 Mg 0.000 0.000 0.000 [2 per cell]
2 Ti 0.184 0.500 0.096 [2 per cell]
3 Ti 0.222 0.000 0.356 [2 per cell]
4 Ti 0.284 0.500 0.962 [2 per cell]
5 Ti 0.311 0.000 0.768 [2 per cell]
6 Pb 0.489 0.500 0.657 [2 per cell]
7 Pb 0.494 0.000 0.311 [2 per cell]
8 O 0.057 0.000 0.228 [2 per cell]
9 O 0.128 0.500 0.858 [2 per cell]
10 O 0.170 0.000 0.108 [2 per cell]
11 O 0.238 0.500 0.332 [2 per cell]
12 O 0.286 0.000 0.573 [2 per cell]
13 O 0.318 0.500 0.813 [2 per cell]
14 O 0.323 0.000 0.980 [2 per cell]
15 O 0.348 0.500 0.188 [2 per cell]
16 O 0.489 0.000 0.938 [2 per cell]
17 F 0.122 0.000 0.615 [2 per cell]
18 F 0.410 0.000 0.467 [2 per cell]

Values from the calculation:
ΔH_f (0 K) = -2.99 eV/atom
Spin magnetization = 2.02 μB per formula unit
Raw total energy = -271.28 eV per cell
Distance to the lowest polymorph of the same formula = 0.000 eV per atom
Volume = 13.25 Å³/atom

=====

Entry 5:
Zr5AgPb3 | GGA-PBE | relaxed

Cell: 8.8825 8.8825 5.9973 Å, 90.00 90.00 120.00°
Space group P6_3/mcm (No. 193)
One atom of each set of equivalent atoms:
1 Zr 0.0000 0.2795 0.2500 [6 per cell]
2 Zr 0.3333 0.6667 0.0000 [4 per cell]
3 Ag 0.0000 0.0000 0.0000 [2 per cell]
4 Pb 0.0000 0.3774 0.7500 [6 per cell]

Values from the calculation:
ΔH_f (0 K) = -0.25 eV/atom
Raw total energy = -117.86 eV per cell
Volume = 22.77 Å³/atom

=====

Entry 6:
BaEuHfNbO6 | GGA-PBE | relaxed

Cell: 8.301 8.301 8.301 Å, 90.00 90.00 90.00°
Space group F-43m (No. 216)
One atom of each set of equivalent atoms:
1 Ba 0.000 0.000 0.000 [4 per cell]
2 Eu 0.000 0.000 0.500 [4 per cell]
3 Hf 0.250 0.250 0.750 [4 per cell]
4 Nb 0.250 0.250 0.250 [4 per cell]
5 O 0.001 0.250 0.250 [24 per cell]

Values from the calculation:
ΔH_f (0 K) = -3.42 eV/atom
Raw total energy = -367.85 eV per cell
Volume = 14.30 Å³/atom